one:
LiNi4P3O12 after structural relaxation. Source: Materials Project, functional GGA+U.

Unit cell a=11.614 b=12.445 c=6.422 alpha=90.00 beta=115.75 gamma=90.00
Space group Cc (No. 9)
Unique sites:
Li  0.000  0.019  0.000
Ni  0.007  0.492  0.726
Ni  0.215  0.159  0.383
Ni  0.283  0.340  0.118
Ni  0.497  0.237  0.996
P  0.228  0.108  0.879
P  0.269  0.394  0.621
P  0.499  0.202  0.498
O  0.039  0.227  0.216
O  0.097  0.378  0.975
O  0.121  0.413  0.553
O  0.155  0.001  0.852
O  0.161  0.168  0.644
O  0.218  0.178  0.071
O  0.275  0.323  0.429
O  0.334  0.333  0.854
O  0.344  0.500  0.148
O  0.375  0.095  0.944
O  0.403  0.119  0.517
O  0.457  0.274  0.282

Output
Volume: 835.99 Å³ per cell
ρ: 4.184 g/cm3

two:
LiNi4P3O12 after structural relaxation. Source: Materials Project, functional GGA+U.

Unit cell a=9.005 b=6.399 c=14.530 alpha=90.00 beta=90.33 gamma=90.00
Space group Pm (No. 6)
Unique sites:
Li  0.000  0.000  0.000
Li  0.004  0.000  0.335
Li  0.184  0.500  0.490
Li  0.996  0.000  0.664
Ni  0.196  0.500  0.823
Ni  0.336  0.248  0.005
Ni  0.338  0.256  0.342
Ni  0.349  0.254  0.675
Ni  0.487  0.000  0.185
Ni  0.496  0.000  0.527
Ni  0.694  0.500  0.024
Ni  0.833  0.249  0.839
Ni  0.842  0.258  0.504
Ni  0.851  0.251  0.174
P  0.017  0.500  0.997
P  0.018  0.500  0.665
P  0.021  0.500  0.333
P  0.160  0.000  0.834
P  0.161  0.000  0.501
P  0.166  0.000  0.163
P  0.514  0.500  0.853
P  0.522  0.500  0.180
P  0.527  0.500  0.508
P  0.662  0.000  0.011
P  0.665  0.000  0.352
P  0.665  0.000  0.684
O  0.190  0.500  0.972
O  0.195  0.500  0.325
O  0.196  0.500  0.657
O  0.200  0.000  0.939
O  0.206  0.000  0.606
O  0.214  0.000  0.268
O  0.222  0.199  0.457
O  0.223  0.198  0.788
O  0.225  0.199  0.118
O  0.458  0.299  0.898
O  0.461  0.500  0.750
O  0.463  0.303  0.557
O  0.463  0.500  0.408
O  0.464  0.301  0.226
O  0.477  0.500  0.074
O  0.487  0.000  0.371
O  0.488  0.000  0.679
O  0.490  0.000  0.039
O  0.691  0.500  0.875
O  0.693  0.000  0.242
O  0.697  0.500  0.180
O  0.697  0.500  0.521
O  0.708  0.000  0.910
O  0.710  0.000  0.577
O  0.718  0.201  0.728
O  0.725  0.197  0.059
O  0.725  0.200  0.392
O  0.957  0.299  0.952
O  0.963  0.299  0.620
O  0.964  0.297  0.288
O  0.969  0.500  0.099
O  0.977  0.500  0.438
O  0.982  0.500  0.772
O  0.988  0.000  0.484
O  0.988  0.000  0.814
O  0.990  0.000  0.148

Output
Volume: 837.27 Å³ per cell
ρ: 4.178 g/cm3

Which of them is most stable, and which least? Most stable: one; least stable: two.

one:
Li4Ni2P3O12 after structural relaxation. Source: Materials Project, functional GGA+U.

Unit cell a=8.311 b=8.408 c=9.132 alpha=91.30 beta=116.65 gamma=119.12
Space group P-1 (No. 2)
Unique sites:
Li  0.062  0.331  0.143
Li  0.194  0.271  0.863
Li  0.327  0.793  0.589
Li  0.370  0.060  0.097
Ni  0.286  0.144  0.433
Ni  0.309  0.649  0.962
P  0.200  0.747  0.240
P  0.213  0.956  0.747
P  0.498  0.547  0.752
O  0.008  0.143  0.265
O  0.024  0.533  0.192
O  0.119  0.875  0.254
O  0.199  0.978  0.578
O  0.249  0.788  0.092
O  0.302  0.443  0.098
O  0.314  0.836  0.803
O  0.326  0.499  0.801
O  0.358  0.153  0.895
O  0.386  0.395  0.584
O  0.401  0.802  0.413
O  0.418  0.250  0.273

Output
Volume: 473.92 Å³ per cell
ρ: 3.014 g/cm3

two:
Li4Ni2P3O12 after structural relaxation. Source: Materials Project, functional GGA+U.

Unit cell a=12.236 b=8.898 c=8.752 alpha=90.00 beta=90.00 gamma=90.00
Space group Pbcn (No. 60)
Unique sites:
Li  0.181  0.203  0.238
Li  0.214  0.448  0.072
Ni  0.109  0.252  0.544
P  0.000  0.452  0.250
P  0.149  0.106  0.894
O  0.033  0.153  0.925
O  0.075  0.455  0.644
O  0.080  0.347  0.338
O  0.168  0.067  0.407
O  0.189  0.156  0.733
O  0.224  0.175  0.022

Output
Volume: 952.77 Å³ per cell
ρ: 2.998 g/cm3

Which of them is most stable, and which least? Most stable: one; least stable: two.